Material: LuP3O9
Method: DFT, r²SCAN
State: relaxed

Values from the calculation:
Calculated formation energy ... -2.779 eV/atom
E ... -11.92 eV/atom
V ... 365.9 Å³ per cell
Size of the total moment ... 0.000 μB/atom

Cell: 7.724 7.724 9.894 Å, 56.91 56.91 51.15°
Fractional positions:
O  0.959  0.993  0.183
P  0.326  0.118  0.189
P  0.555  0.704  0.084
P  0.118  0.326  0.689
O  0.196  0.452  0.698
P  0.704  0.555  0.584
O  0.508  0.875  0.155
O  0.993  0.959  0.683
O  0.452  0.196  0.198
O  0.194  0.283  0.065
O  0.038  0.165  0.872
O  0.511  0.508  0.229
O  0.106  0.755  0.006
O  0.860  0.372  0.483
P  0.109  0.932  0.023
O  0.372  0.860  0.983
O  0.789  0.648  0.956
O  0.165  0.038  0.372
Lu  0.137  0.607  0.855
Lu  0.607  0.137  0.355
P  0.932  0.109  0.523
O  0.648  0.789  0.456
O  0.283  0.194  0.565
O  0.875  0.508  0.655
O  0.508  0.511  0.729
O  0.755  0.106  0.506